Record 1
## NdSeF (r²SCAN)

Data for a relaxed NdSeF crystal.

Unit cell a=4.036 b=4.036 c=7.158 alpha=90.00 beta=90.00 gamma=90.00
Fractional coordinates of all 6 atoms:
Se 0.750 0.750 0.353
Se 0.250 0.250 0.647
Nd 0.250 0.250 0.217
Nd 0.750 0.750 0.783
F 0.750 0.250 0.000
F 0.250 0.750 0.000

Results
Space group: No. 129
Calculated formation energy (eV/f.u.): -9.7
Crystal system: tetragonal
Final energy (eV/atom): -18.85

Record 2
## VF5 (r²SCAN)

Data for a relaxed VF5 crystal.

Unit cell a=9.374 b=5.392 c=7.214 alpha=89.55 beta=90.00 gamma=90.00
Fractional coordinates of all 24 atoms:
F 0.254 0.989 0.403
V 0.779 0.516 0.115
F 0.480 0.982 0.777
V 0.893 0.013 0.436
F 0.269 0.230 0.689
V 0.279 0.484 0.885
F 0.987 0.772 0.533
F 0.771 0.267 0.316
F 0.096 0.484 0.852
F 0.596 0.516 0.148
V 0.393 0.987 0.564
F 0.989 0.247 0.535
F 0.980 0.018 0.223
F 0.460 0.481 0.827
F 0.489 0.753 0.465
F 0.787 0.279 0.958
F 0.287 0.721 0.042
F 0.769 0.770 0.311
F 0.487 0.228 0.467
F 0.754 0.011 0.597
F 0.786 0.750 0.953
F 0.960 0.519 0.173
F 0.271 0.733 0.684
F 0.286 0.250 0.047

Results
Space group: No. 4
Calculated formation energy (eV/f.u.): -17.0
Crystal system: monoclinic
Final energy (eV/atom): -7.79

Record 3
## ZrIn (r²SCAN)

Data for a relaxed ZrIn crystal.

Unit cell a=3.141 b=3.141 c=4.454 alpha=90.00 beta=90.00 gamma=90.00
Fractional coordinates of all 2 atoms:
In 0.500 0.500 0.500
Zr 0.000 0.000 0.000

Results
Space group: No. 123
Calculated formation energy (eV/f.u.): -0.9
Crystal system: tetragonal
Final energy (eV/atom): -23.10

Record 4
## Sm4MgRu (r²SCAN)

Data for a relaxed Sm4MgRu crystal.

Unit cell a=9.847 b=9.847 c=9.847 alpha=60.00 beta=60.00 gamma=60.00
Fractional coordinates of all 24 atoms:
Mg 0.578 0.265 0.578
Sm 0.938 0.938 0.562
Sm 0.938 0.562 0.562
Ru 0.587 0.138 0.138
Sm 0.188 0.812 0.812
Ru 0.138 0.138 0.138
Sm 0.812 0.812 0.188
Sm 0.562 0.562 0.938
Sm 0.812 0.188 0.188
Sm 0.938 0.562 0.938
Sm 0.562 0.938 0.938
Sm 0.344 0.344 0.344
Mg 0.578 0.578 0.265
Sm 0.969 0.344 0.344
Mg 0.578 0.578 0.578
Sm 0.188 0.812 0.188
Sm 0.562 0.938 0.562
Sm 0.188 0.188 0.812
Sm 0.344 0.969 0.344
Sm 0.344 0.344 0.969
Ru 0.138 0.587 0.138
Ru 0.138 0.138 0.587
Mg 0.265 0.578 0.578
Sm 0.812 0.188 0.812

Results
Space group: No. 216
Calculated formation energy (eV/f.u.): -1.3
Crystal system: cubic
Final energy (eV/atom): -24.98

Record 5
## CsAgBr3 (r²SCAN)

Data for a relaxed CsAgBr3 crystal.

Unit cell a=5.417 b=5.420 c=5.421 alpha=90.02 beta=90.00 gamma=90.00
Fractional coordinates of all 5 atoms:
Br 0.500 0.503 0.012
Br 0.500 0.002 0.512
Br 0.000 0.502 0.512
Cs 0.000 0.002 0.011
Ag 0.500 0.502 0.512

Results
Space group: No. 6
Calculated formation energy (eV/f.u.): -5.5
Crystal system: monoclinic
Final energy (eV/atom): -18.34

Record 6
## USeO (r²SCAN)

Data for a relaxed USeO crystal.

Unit cell a=3.927 b=3.927 c=6.968 alpha=90.00 beta=90.00 gamma=90.00
Fractional coordinates of all 6 atoms:
O 0.000 0.000 0.000
Se 0.000 0.500 0.364
Se 0.500 0.000 0.636
O 0.500 0.500 0.000
U 0.500 0.000 0.182
U 0.000 0.500 0.818

Results
Space group: No. 129
Calculated formation energy (eV/f.u.): -7.9
Crystal system: tetragonal
Final energy (eV/atom): -36.05